No. 1
Material: Li3Mn2P2C2O14
Method: DFT, GGA+U
State: optimized geometry

Computed properties:
The value obtained for the energy above the most stable polymorph in this dataset is 11.9 meV/atom.

Lattice parameters (Å, degrees): 5.063 6.476 8.315 90.93 94.13 90.20
Positions (direct):
Li (0.000, 0.000, 0.000)
Li (0.002, 0.468, 0.999)
Li (0.516, 0.520, 0.517)
Mn (0.546, 0.732, 0.916)
Mn (0.957, 0.227, 0.582)
P (0.033, 0.729, 0.672)
P (0.485, 0.235, 0.830)
C (0.038, 0.238, 0.299)
C (0.465, 0.726, 0.201)
O (0.085, 0.238, 0.152)
O (0.175, 0.236, 0.802)
O (0.224, 0.248, 0.417)
O (0.275, 0.735, 0.080)
O (0.339, 0.703, 0.709)
O (0.420, 0.705, 0.343)
O (0.583, 0.044, 0.924)
O (0.583, 0.419, 0.939)
O (0.601, 0.248, 0.663)
O (0.701, 0.738, 0.144)
O (0.802, 0.227, 0.351)
O (0.913, 0.732, 0.841)
O (0.924, 0.543, 0.569)
O (0.960, 0.921, 0.576)

No. 2
Material: LiV3P6O20
Method: DFT, GGA+U
State: optimized geometry

Computed properties:
The value obtained for the energy above the most stable polymorph in this dataset is 0.0 meV/atom.

Lattice parameters (Å, degrees): 12.578 8.612 8.612 106.72 90.00 90.00
Positions (direct):
Li (0.000, 0.000, 0.000)
Li (0.500, 0.500, 0.500)
V (0.000, 0.276, 0.276)
V (0.211, 0.667, 0.219)
V (0.289, 0.167, 0.719)
V (0.500, 0.776, 0.776)
V (0.711, 0.719, 0.167)
V (0.789, 0.219, 0.667)
P (0.054, 0.270, 0.648)
P (0.200, 0.531, 0.800)
P (0.213, 0.256, 0.119)
P (0.287, 0.756, 0.619)
P (0.300, 0.031, 0.300)
P (0.446, 0.770, 0.148)
P (0.554, 0.148, 0.770)
P (0.700, 0.300, 0.031)
P (0.713, 0.619, 0.756)
P (0.787, 0.119, 0.256)
P (0.800, 0.800, 0.531)
P (0.946, 0.648, 0.270)
O (0.058, 0.701, 0.247)
O (0.065, 0.262, 0.466)
O (0.084, 0.457, 0.745)
O (0.103, 0.165, 0.107)
O (0.132, 0.154, 0.692)
O (0.194, 0.429, 0.224)
O (0.195, 0.605, 0.980)
O (0.205, 0.677, 0.720)
O (0.216, 0.908, 0.224)
O (0.237, 0.733, 0.456)
O (0.263, 0.233, 0.956)
O (0.284, 0.408, 0.724)
O (0.295, 0.177, 0.220)
O (0.305, 0.105, 0.480)
O (0.306, 0.929, 0.724)
O (0.368, 0.654, 0.192)
O (0.397, 0.665, 0.607)
O (0.416, 0.957, 0.245)
O (0.435, 0.762, 0.966)
O (0.442, 0.201, 0.747)
O (0.558, 0.747, 0.201)
O (0.565, 0.966, 0.762)
O (0.584, 0.245, 0.957)
O (0.603, 0.607, 0.665)
O (0.632, 0.192, 0.654)
O (0.694, 0.724, 0.929)
O (0.695, 0.480, 0.105)
O (0.705, 0.220, 0.177)
O (0.716, 0.724, 0.408)
O (0.737, 0.956, 0.233)
O (0.763, 0.456, 0.733)
O (0.784, 0.224, 0.908)
O (0.795, 0.720, 0.677)
O (0.805, 0.980, 0.605)
O (0.806, 0.224, 0.429)
O (0.868, 0.692, 0.154)
O (0.897, 0.107, 0.165)
O (0.916, 0.745, 0.457)
O (0.935, 0.466, 0.262)
O (0.942, 0.247, 0.701)

No. 3
Material: Li3Fe8B8O24
Method: DFT, GGA+U
State: optimized geometry

Computed properties:
The value obtained for the energy above the most stable polymorph in this dataset is 2.7 meV/atom.

Lattice parameters (Å, degrees): 5.276 9.124 11.351 113.47 102.54 90.65
Positions (direct):
Li (0.000, 0.000, 0.000)
Li (0.216, 0.238, 0.503)
Li (0.709, 0.739, 0.498)
Fe (0.003, 0.668, 0.032)
Fe (0.217, 0.215, 0.784)
Fe (0.232, 0.586, 0.537)
Fe (0.475, 0.126, 0.282)
Fe (0.520, 0.187, 0.032)
Fe (0.709, 0.703, 0.778)
Fe (0.733, 0.084, 0.536)
Fe (0.971, 0.624, 0.284)
B (0.022, 0.336, 0.033)
B (0.221, 0.882, 0.788)
B (0.243, 0.921, 0.534)
B (0.464, 0.462, 0.289)
B (0.498, 0.842, 0.034)
B (0.713, 0.379, 0.783)
B (0.748, 0.417, 0.532)
B (0.963, 0.959, 0.284)
O (0.002, 0.410, 0.530)
O (0.019, 0.799, 0.229)
O (0.073, 0.778, 0.489)
O (0.138, 0.082, 0.303)
O (0.139, 0.068, 0.576)
O (0.231, 0.496, 0.329)
O (0.239, 0.322, 0.980)
O (0.341, 0.032, 0.821)
O (0.346, 0.715, 0.025)
O (0.352, 0.748, 0.740)
O (0.413, 0.995, 0.079)
O (0.454, 0.361, 0.773)
O (0.499, 0.911, 0.532)
O (0.522, 0.306, 0.238)
O (0.575, 0.277, 0.486)
O (0.637, 0.587, 0.309)
O (0.647, 0.568, 0.581)
O (0.731, 0.991, 0.322)
O (0.740, 0.823, 0.996)
O (0.845, 0.537, 0.835)
O (0.853, 0.250, 0.739)
O (0.893, 0.209, 0.036)
O (0.939, 0.492, 0.085)
O (0.974, 0.864, 0.806)

No. 4
Material: BaFe2PbO5
Method: DFT, GGA+U
State: optimized geometry

Computed properties:
As for the calculated total energy: -227.7 eV/cell.

Lattice parameters (Å, degrees): 5.857 4.026 21.607 90.00 90.00 90.00
Positions (direct):
Ba (0.020, 0.250, 0.185)
Ba (0.480, 0.750, 0.685)
Ba (0.520, 0.250, 0.315)
Ba (0.980, 0.750, 0.815)
Fe (0.019, 0.750, 0.053)
Fe (0.022, 0.750, 0.313)
Fe (0.478, 0.250, 0.813)
Fe (0.481, 0.250, 0.553)
Fe (0.519, 0.750, 0.447)
Fe (0.522, 0.750, 0.187)
Fe (0.978, 0.250, 0.687)
Fe (0.981, 0.250, 0.947)
Pb (0.011, 0.250, 0.429)
Pb (0.489, 0.750, 0.929)
Pb (0.511, 0.250, 0.071)
Pb (0.989, 0.750, 0.571)
O (0.020, 0.250, 0.323)
O (0.059, 0.250, 0.037)
O (0.214, 0.250, 0.609)
O (0.228, 0.250, 0.750)
O (0.233, 0.250, 0.891)
O (0.267, 0.750, 0.391)
O (0.272, 0.750, 0.250)
O (0.286, 0.750, 0.109)
O (0.441, 0.750, 0.537)
O (0.480, 0.750, 0.823)
O (0.520, 0.250, 0.177)
O (0.559, 0.250, 0.463)
O (0.714, 0.250, 0.891)
O (0.728, 0.250, 0.750)
O (0.733, 0.250, 0.609)
O (0.767, 0.750, 0.109)
O (0.772, 0.750, 0.250)
O (0.786, 0.750, 0.391)
O (0.941, 0.750, 0.963)
O (0.980, 0.750, 0.677)

No. 5
Material: LiV2P3O12
Method: DFT, GGA+U
State: optimized geometry

Computed properties:
The value obtained for the energy above the most stable polymorph in this dataset is 16.2 meV/atom.

Lattice parameters (Å, degrees): 8.615 8.622 12.046 90.11 90.15 90.18
Positions (direct):
Li (0.000, 0.000, 0.000)
Li (0.047, 0.503, 0.500)
Li (0.368, 0.158, 0.894)
Li (0.682, 0.151, 0.471)
V (0.238, 0.967, 0.562)
V (0.242, 0.466, 0.297)
V (0.306, 0.475, 0.801)
V (0.316, 0.958, 0.070)
V (0.730, 0.474, 0.565)
V (0.741, 0.959, 0.295)
V (0.807, 0.967, 0.796)
V (0.810, 0.467, 0.061)
P (0.024, 0.750, 0.182)
P (0.025, 0.255, 0.681)
P (0.166, 0.323, 0.036)
P (0.172, 0.830, 0.827)
P (0.377, 0.613, 0.537)
P (0.378, 0.110, 0.328)
P (0.522, 0.178, 0.682)
P (0.526, 0.674, 0.181)
P (0.669, 0.610, 0.827)
P (0.671, 0.112, 0.037)
P (0.876, 0.325, 0.326)
P (0.880, 0.827, 0.535)
O (0.005, 0.879, 0.858)
O (0.042, 0.378, 0.359)
O (0.050, 0.865, 0.508)
O (0.116, 0.860, 0.104)
O (0.124, 0.153, 0.604)
O (0.127, 0.358, 0.757)
O (0.131, 0.649, 0.255)
O (0.178, 0.142, 0.026)
O (0.186, 0.653, 0.843)
O (0.212, 0.376, 0.152)
O (0.212, 0.882, 0.709)
O (0.261, 0.538, 0.454)
O (0.264, 0.036, 0.410)
O (0.286, 0.384, 0.950)
O (0.287, 0.911, 0.909)
O (0.331, 0.556, 0.653)
O (0.338, 0.051, 0.209)
O (0.358, 0.287, 0.335)
O (0.365, 0.790, 0.528)
O (0.422, 0.278, 0.761)
O (0.423, 0.776, 0.106)
O (0.428, 0.075, 0.603)
O (0.430, 0.574, 0.260)
O (0.497, 0.568, 0.850)
O (0.500, 0.069, 0.009)
O (0.547, 0.568, 0.510)
O (0.549, 0.072, 0.353)
O (0.619, 0.075, 0.760)
O (0.623, 0.573, 0.105)
O (0.626, 0.783, 0.257)
O (0.628, 0.275, 0.603)
O (0.685, 0.288, 0.028)
O (0.687, 0.788, 0.834)
O (0.712, 0.552, 0.709)
O (0.715, 0.053, 0.152)
O (0.759, 0.386, 0.414)
O (0.765, 0.909, 0.455)
O (0.781, 0.536, 0.910)
O (0.787, 0.036, 0.954)
O (0.835, 0.381, 0.210)
O (0.837, 0.878, 0.653)
O (0.861, 0.146, 0.336)
O (0.867, 0.647, 0.522)
O (0.920, 0.154, 0.756)
O (0.923, 0.650, 0.105)
O (0.929, 0.853, 0.260)
O (0.931, 0.366, 0.605)
O (0.998, 0.366, 0.008)

No. 6
Material: Fe3Ni2P6WO24
Method: DFT, GGA+U
State: optimized geometry

Computed properties:
As for the calculated total energy: -251.4 eV/cell.

Lattice parameters (Å, degrees): 8.536 8.536 8.536 60.94 60.94 60.94
Positions (direct):
Fe (0.000, 0.000, 0.000)
Fe (0.212, 0.212, 0.212)
Fe (0.499, 0.499, 0.499)
Ni (0.356, 0.356, 0.356)
Ni (0.860, 0.860, 0.860)
P (0.111, 0.394, 0.809)
P (0.305, 0.902, 0.601)
P (0.394, 0.809, 0.111)
P (0.601, 0.305, 0.902)
P (0.809, 0.111, 0.394)
P (0.902, 0.601, 0.305)
W (0.713, 0.713, 0.713)
O (0.034, 0.245, 0.852)
O (0.098, 0.445, 0.302)
O (0.112, 0.914, 0.764)
O (0.168, 0.362, 0.968)
O (0.245, 0.852, 0.034)
O (0.264, 0.414, 0.611)
O (0.302, 0.098, 0.445)
O (0.353, 0.746, 0.533)
O (0.362, 0.968, 0.168)
O (0.414, 0.611, 0.264)
O (0.445, 0.302, 0.098)
O (0.466, 0.855, 0.675)
O (0.533, 0.353, 0.746)
O (0.598, 0.790, 0.946)
O (0.611, 0.264, 0.414)
O (0.675, 0.466, 0.855)
O (0.746, 0.533, 0.353)
O (0.764, 0.112, 0.914)
O (0.790, 0.946, 0.598)
O (0.852, 0.034, 0.245)
O (0.855, 0.675, 0.466)
O (0.914, 0.764, 0.112)
O (0.946, 0.598, 0.790)
O (0.968, 0.168, 0.362)

No. 7
Material: CaFe8O12
Method: DFT, GGA+U
State: optimized geometry

Computed properties:
The value obtained for the energy above the most stable polymorph in this dataset is 51.4 meV/atom.

Lattice parameters (Å, degrees): 5.345 5.581 8.938 82.19 80.51 77.52
Positions (direct):
Ca (0.000, 0.000, 0.000)
Fe (0.164, 0.229, 0.572)
Fe (0.165, 0.529, 0.860)
Fe (0.208, 0.710, 0.363)
Fe (0.285, 0.232, 0.201)
Fe (0.572, 0.071, 0.792)
Fe (0.660, 0.604, 0.698)
Fe (0.715, 0.047, 0.395)
Fe (0.761, 0.544, 0.289)
O (0.062, 0.999, 0.468)
O (0.063, 0.670, 0.184)
O (0.337, 0.221, 0.971)
O (0.370, 0.757, 0.871)
O (0.379, 0.411, 0.678)
O (0.409, 0.369, 0.373)
O (0.512, 0.855, 0.267)
O (0.516, 0.958, 0.602)
O (0.851, 0.765, 0.827)
O (0.878, 0.266, 0.769)
O (0.880, 0.238, 0.199)
O (0.898, 0.535, 0.491)

No. 8
Material: Sr4LiMn2Ga2O11
Method: DFT, GGA+U
State: optimized geometry

Computed properties:
The value obtained for the energy above the most stable polymorph in this dataset is 30.8 meV/atom.

Lattice parameters (Å, degrees): 8.610 5.800 8.488 71.31 39.65 69.04
Positions (direct):
Sr (0.130, 0.870, 0.130)
Sr (0.345, 0.635, 0.365)
Sr (0.635, 0.345, 0.655)
Sr (0.870, 0.130, 0.870)
Li (0.341, 0.341, 0.659)
Mn (0.244, 0.244, 0.256)
Mn (0.744, 0.744, 0.756)
Ga (0.513, 0.923, 0.487)
Ga (0.923, 0.513, 0.077)
O (0.166, 0.320, 0.065)
O (0.315, 0.681, 0.685)
O (0.320, 0.166, 0.448)
O (0.497, 0.497, 0.003)
O (0.524, 0.979, 0.021)
O (0.552, 0.935, 0.680)
O (0.681, 0.315, 0.319)
O (0.821, 0.821, 0.179)
O (0.935, 0.552, 0.834)
O (0.979, 0.524, 0.476)
O (0.997, 0.997, 0.503)

No. 9
Material: LiNi5O5F
Method: DFT, GGA+U
State: optimized geometry

Computed properties:
As for the calculated total energy: -58.7 eV/cell.

Lattice parameters (Å, degrees): 2.968 2.968 12.747 90.00 90.00 90.00
Positions (direct):
Li (0.000, 0.000, 0.000)
Ni (0.000, 0.000, 0.333)
Ni (0.000, 0.000, 0.667)
Ni (0.500, 0.500, 0.170)
Ni (0.500, 0.500, 0.500)
Ni (0.500, 0.500, 0.830)
O (0.000, 0.000, 0.166)
O (0.000, 0.000, 0.500)
O (0.000, 0.000, 0.834)
O (0.500, 0.500, 0.334)
O (0.500, 0.500, 0.666)
F (0.500, 0.500, 0.000)